No. 1
Computed, not measured: a relaxed CsP8W8O40 crystal at the GGA+U level of DFT.

Values from the calculation:
Space-group type: Pm
Formation energy from the elements: -2.42 eV per atom
Total moment: 9.0 μB per formula unit

```
data_CsP8W8O40
_cell_length_a 5.415
_cell_length_b 12.524
_cell_length_c 13.368
_cell_angle_alpha 90.00
_cell_angle_beta 90.13
_cell_angle_gamma 90.00
_symmetry_space_group_name_H-M 'P 1'
_symmetry_Int_Tables_number 1
_symmetry_space_group_name_Hall 'P 1'
loop_
_atom_site_label
_atom_site_type_symbol
_atom_site_fract_x
_atom_site_fract_y
_atom_site_fract_z
_atom_site_occupancy
O1 O 0.737 0.750 0.836 1
O2 O 0.519 0.382 0.471 1
O3 O 0.233 0.067 0.615 1
O4 O 0.445 0.885 0.947 1
O5 O 0.516 0.928 0.733 1
O6 O 0.023 0.380 0.024 1
O7 O 0.023 0.120 0.024 1
O8 O 0.952 0.614 0.552 1
O9 O 0.952 0.886 0.552 1
O10 O 0.516 0.572 0.733 1
O11 O 0.555 0.117 0.054 1
O12 O 0.983 0.423 0.244 1
O13 O 0.250 0.250 0.562 1
O14 O 0.483 0.881 0.527 1
O15 O 0.015 0.928 0.760 1
O16 O 0.445 0.615 0.947 1
O17 O 0.050 0.116 0.446 1
O18 O 0.015 0.572 0.760 1
O19 O 0.519 0.118 0.471 1
O20 O 0.765 0.559 0.388 1
O21 O 0.483 0.619 0.527 1
O22 O 0.733 0.064 0.884 1
O23 O 0.050 0.384 0.446 1
O24 O 0.765 0.941 0.388 1
O25 O 0.756 0.750 0.434 1
O26 O 0.233 0.433 0.615 1
O27 O 0.258 0.250 0.166 1
O28 O 0.226 0.750 0.670 1
O29 O 0.555 0.383 0.054 1
O30 O 0.983 0.077 0.244 1
O31 O 0.486 0.079 0.267 1
O32 O 0.264 0.559 0.113 1
O33 O 0.745 0.250 0.934 1
O34 O 0.979 0.618 0.975 1
O35 O 0.264 0.941 0.113 1
O36 O 0.255 0.750 0.066 1
O37 O 0.733 0.436 0.884 1
O38 O 0.486 0.421 0.267 1
O39 O 0.979 0.882 0.975 1
O40 O 0.761 0.250 0.335 1
W1 W 0.748 0.901 0.850 1
W2 W 0.748 0.599 0.850 1
W3 W 0.248 0.903 0.652 1
W4 W 0.254 0.402 0.150 1
W5 W 0.755 0.098 0.348 1
W6 W 0.248 0.597 0.652 1
W7 W 0.254 0.098 0.150 1
W8 W 0.755 0.402 0.348 1
Cs1 Cs 0.254 0.250 0.797 1
P1 P 0.265 0.370 0.518 1
P2 P 0.765 0.370 0.981 1
P3 P 0.736 0.869 0.481 1
P4 P 0.765 0.130 0.981 1
P5 P 0.235 0.869 0.020 1
P6 P 0.736 0.631 0.481 1
P7 P 0.265 0.130 0.518 1
P8 P 0.235 0.631 0.020 1
```

No. 2
Computed, not measured: a relaxed CsVS2O8 crystal at the GGA+U level of DFT.

Values from the calculation:
Formation energy from the elements: -2.19 eV per atom
Total moment: 0.0 μB per formula unit

```
data_CsVS2O8
_cell_length_a 4.979
_cell_length_b 10.288
_cell_length_c 15.957
_cell_angle_alpha 83.33
_cell_angle_beta 81.03
_cell_angle_gamma 104.01
_symmetry_space_group_name_H-M 'P 1'
_symmetry_Int_Tables_number 1
_symmetry_space_group_name_Hall 'P 1'
loop_
_atom_site_label
_atom_site_type_symbol
_atom_site_fract_x
_atom_site_fract_y
_atom_site_fract_z
_atom_site_occupancy
O1 O 0.286 0.365 0.001 1
O2 O 0.249 0.755 0.611 1
O3 O 0.990 0.453 0.913 1
O4 O 0.214 0.135 0.499 1
O5 O 0.740 0.703 0.663 1
O6 O 0.714 0.635 0.999 1
O7 O 0.464 0.885 0.749 1
O8 O 0.786 0.865 0.501 1
O9 O 0.036 0.615 0.751 1
O10 O 0.954 0.527 0.620 1
O11 O 0.749 0.255 0.111 1
O12 O 0.251 0.745 0.889 1
O13 O 0.490 0.953 0.413 1
O14 O 0.796 0.723 0.130 1
O15 O 0.010 0.547 0.087 1
O16 O 0.260 0.297 0.337 1
O17 O 0.296 0.223 0.630 1
O18 O 0.204 0.277 0.870 1
O19 O 0.536 0.115 0.251 1
O20 O 0.510 0.047 0.587 1
O21 O 0.240 0.203 0.163 1
O22 O 0.704 0.777 0.370 1
O23 O 0.751 0.245 0.389 1
O24 O 0.760 0.797 0.837 1
O25 O 0.999 0.005 0.361 1
O26 O 0.001 0.995 0.639 1
O27 O 0.046 0.473 0.380 1
O28 O 0.546 0.973 0.880 1
O29 O 0.499 0.505 0.861 1
O30 O 0.501 0.495 0.139 1
O31 O 0.964 0.385 0.249 1
O32 O 0.454 0.027 0.120 1
S1 S 0.244 0.399 0.911 1
S2 S 0.994 0.649 0.661 1
S3 S 0.756 0.601 0.089 1
S4 S 0.494 0.149 0.161 1
S5 S 0.506 0.851 0.839 1
S6 S 0.744 0.899 0.411 1
S7 S 0.006 0.351 0.339 1
S8 S 0.256 0.101 0.589 1
V1 V 0.625 0.875 0.625 1
V2 V 0.375 0.125 0.375 1
V3 V 0.125 0.375 0.125 1
V4 V 0.875 0.625 0.875 1
Cs1 Cs 0.000 0.000 0.000 1
Cs2 Cs 0.500 0.500 0.500 1
Cs3 Cs 0.750 0.250 0.750 1
Cs4 Cs 0.250 0.750 0.250 1
```

No. 3
Computed, not measured: a relaxed CsV2S2O crystal at the GGA+U level of DFT.

Values from the calculation:
Space-group type: P4/mmm
Formation energy from the elements: -1.51 eV per atom
Total moment: 5.0 μB per formula unit

```
data_CsV2S2O
_cell_length_a 4.102
_cell_length_b 4.102
_cell_length_c 7.591
_cell_angle_alpha 90.00
_cell_angle_beta 90.00
_cell_angle_gamma 90.00
_symmetry_space_group_name_H-M 'P 1'
_symmetry_Int_Tables_number 1
_symmetry_space_group_name_Hall 'P 1'
loop_
_atom_site_label
_atom_site_type_symbol
_atom_site_fract_x
_atom_site_fract_y
_atom_site_fract_z
_atom_site_occupancy
O1 O 0.000 0.000 0.000 1
S1 S 0.500 0.500 0.788 1
S2 S 0.500 0.500 0.212 1
V1 V 0.000 0.500 0.000 1
V2 V 0.500 0.000 0.000 1
Cs1 Cs 0.000 0.000 0.500 1
```

No. 4
Computed, not measured: a relaxed Cs4V2S4O3 crystal at the GGA+U level of DFT.

Values from the calculation:
Space-group type: Pnma
Formation energy from the elements: -1.70 eV per atom
Total moment: 0.0 μB per formula unit

```
data_Cs4V2S4O3
_cell_length_a 8.987
_cell_length_b 12.662
_cell_length_c 13.583
_cell_angle_alpha 90.00
_cell_angle_beta 90.00
_cell_angle_gamma 90.00
_symmetry_space_group_name_H-M 'P 1'
_symmetry_Int_Tables_number 1
_symmetry_space_group_name_Hall 'P 1'
loop_
_atom_site_label
_atom_site_type_symbol
_atom_site_fract_x
_atom_site_fract_y
_atom_site_fract_z
_atom_site_occupancy
O1 O 0.050 0.708 0.240 1
O2 O 0.550 0.208 0.260 1
O3 O 0.550 0.292 0.760 1
O4 O 0.750 0.763 0.798 1
O5 O 0.450 0.708 0.240 1
O6 O 0.050 0.792 0.740 1
O7 O 0.750 0.737 0.298 1
O8 O 0.250 0.263 0.702 1
O9 O 0.950 0.292 0.760 1
O10 O 0.250 0.237 0.202 1
O11 O 0.450 0.792 0.740 1
O12 O 0.950 0.208 0.260 1
Cs1 Cs 0.250 0.935 0.164 1
Cs2 Cs 0.250 0.350 0.913 1
Cs3 Cs 0.250 0.565 0.664 1
Cs4 Cs 0.250 0.150 0.413 1
Cs5 Cs 0.250 0.990 0.835 1
Cs6 Cs 0.750 0.850 0.587 1
Cs7 Cs 0.750 0.142 0.442 1
Cs8 Cs 0.250 0.510 0.335 1
Cs9 Cs 0.750 0.650 0.087 1
Cs10 Cs 0.250 0.642 0.058 1
Cs11 Cs 0.750 0.010 0.165 1
Cs12 Cs 0.750 0.358 0.942 1
Cs13 Cs 0.750 0.065 0.836 1
Cs14 Cs 0.750 0.435 0.336 1
Cs15 Cs 0.750 0.490 0.665 1
Cs16 Cs 0.250 0.858 0.558 1
S1 S 0.014 0.343 0.535 1
S2 S 0.486 0.343 0.535 1
S3 S 0.493 0.418 0.137 1
S4 S 0.993 0.918 0.363 1
S5 S 0.514 0.843 0.965 1
S6 S 0.486 0.157 0.035 1
S7 S 0.507 0.918 0.363 1
S8 S 0.007 0.418 0.137 1
S9 S 0.507 0.582 0.863 1
S10 S 0.993 0.582 0.863 1
S11 S 0.986 0.657 0.465 1
S12 S 0.514 0.657 0.465 1
S13 S 0.014 0.157 0.035 1
S14 S 0.493 0.082 0.637 1
S15 S 0.986 0.843 0.965 1
S16 S 0.007 0.082 0.637 1
V1 V 0.054 0.252 0.166 1
V2 V 0.446 0.252 0.166 1
V3 V 0.554 0.752 0.334 1
V4 V 0.554 0.748 0.834 1
V5 V 0.054 0.248 0.666 1
V6 V 0.946 0.752 0.334 1
V7 V 0.446 0.248 0.666 1
V8 V 0.946 0.748 0.834 1
```

No. 5
Computed, not measured: a relaxed Cs2W3S8O4 crystal at the GGA+U level of DFT.

Values from the calculation:
Space-group type: P2_1
Formation energy from the elements: -0.41 eV per atom
Total moment: 4.0 μB per formula unit

```
data_Cs2W3S8O4
_cell_length_a 19.984
_cell_length_b 7.314
_cell_length_c 7.694
_cell_angle_alpha 78.44
_cell_angle_beta 90.00
_cell_angle_gamma 90.00
_symmetry_space_group_name_H-M 'P 1'
_symmetry_Int_Tables_number 1
_symmetry_space_group_name_Hall 'P 1'
loop_
_atom_site_label
_atom_site_type_symbol
_atom_site_fract_x
_atom_site_fract_y
_atom_site_fract_z
_atom_site_occupancy
O1 O 0.438 0.184 0.403 1
O2 O 0.020 0.311 0.261 1
O3 O 0.938 0.816 0.597 1
O4 O 0.983 0.178 0.247 1
O5 O 0.031 0.783 0.007 1
O6 O 0.520 0.689 0.739 1
O7 O 0.483 0.822 0.753 1
O8 O 0.531 0.217 0.993 1
S1 S 0.719 0.408 0.109 1
S2 S 0.054 0.457 0.755 1
S3 S 0.102 0.929 0.620 1
S4 S 0.602 0.071 0.380 1
S5 S 0.818 0.940 0.018 1
S6 S 0.318 0.060 0.982 1
S7 S 0.693 0.434 0.563 1
S8 S 0.275 0.131 0.410 1
S9 S 0.402 0.439 0.098 1
S10 S 0.441 0.912 0.257 1
S11 S 0.554 0.543 0.245 1
S12 S 0.219 0.592 0.891 1
S13 S 0.941 0.088 0.743 1
S14 S 0.775 0.869 0.590 1
S15 S 0.193 0.566 0.437 1
S16 S 0.902 0.561 0.902 1
Cs1 Cs 0.650 0.018 0.885 1
Cs2 Cs 0.366 0.448 0.631 1
Cs3 Cs 0.150 0.982 0.115 1
Cs4 Cs 0.866 0.552 0.369 1
W1 W 0.859 0.854 0.778 1
W2 W 0.647 0.365 0.327 1
W3 W 0.506 0.241 0.207 1
W4 W 0.147 0.635 0.673 1
W5 W 0.006 0.759 0.793 1
W6 W 0.359 0.146 0.222 1
```

No. 6
Computed, not measured: a relaxed CsV2SbO8 crystal at the GGA+U level of DFT.

Values from the calculation:
Space-group type: P2_1/c
Formation energy from the elements: -2.25 eV per atom
Total moment: 0.0 μB per formula unit

```
data_CsV2SbO8
_cell_length_a 17.105
_cell_length_b 5.710
_cell_length_c 10.339
_cell_angle_alpha 57.06
_cell_angle_beta 90.00
_cell_angle_gamma 90.00
_symmetry_space_group_name_H-M 'P 1'
_symmetry_Int_Tables_number 1
_symmetry_space_group_name_Hall 'P 1'
loop_
_atom_site_label
_atom_site_type_symbol
_atom_site_fract_x
_atom_site_fract_y
_atom_site_fract_z
_atom_site_occupancy
O1 O 0.607 0.684 0.562 1
O2 O 0.625 0.169 0.850 1
O3 O 0.885 0.670 0.333 1
O4 O 0.179 0.342 0.417 1
O5 O 0.510 0.723 0.319 1
O6 O 0.514 0.712 0.045 1
O7 O 0.679 0.658 0.083 1
O8 O 0.990 0.723 0.819 1
O9 O 0.844 0.980 0.764 1
O10 O 0.875 0.169 0.350 1
O11 O 0.115 0.330 0.667 1
O12 O 0.125 0.831 0.650 1
O13 O 0.393 0.316 0.438 1
O14 O 0.107 0.316 0.938 1
O15 O 0.486 0.288 0.955 1
O16 O 0.821 0.658 0.583 1
O17 O 0.375 0.831 0.150 1
O18 O 0.656 0.980 0.264 1
O19 O 0.893 0.684 0.062 1
O20 O 0.967 0.217 0.833 1
O21 O 0.986 0.712 0.545 1
O22 O 0.033 0.783 0.167 1
O23 O 0.490 0.277 0.681 1
O24 O 0.014 0.288 0.455 1
O25 O 0.156 0.020 0.236 1
O26 O 0.321 0.342 0.917 1
O27 O 0.467 0.783 0.667 1
O28 O 0.344 0.020 0.736 1
O29 O 0.533 0.217 0.333 1
O30 O 0.010 0.277 0.181 1
O31 O 0.615 0.670 0.833 1
O32 O 0.385 0.330 0.167 1
V1 V 0.575 0.905 0.364 1
V2 V 0.107 0.203 0.542 1
V3 V 0.893 0.797 0.458 1
V4 V 0.925 0.905 0.864 1
V5 V 0.607 0.797 0.958 1
V6 V 0.393 0.203 0.042 1
V7 V 0.425 0.095 0.636 1
V8 V 0.075 0.095 0.136 1
Cs1 Cs 0.782 0.267 0.996 1
Cs2 Cs 0.718 0.267 0.496 1
Cs3 Cs 0.282 0.733 0.504 1
Cs4 Cs 0.218 0.733 0.004 1
Sb1 Sb 0.547 0.483 0.759 1
Sb2 Sb 0.453 0.517 0.241 1
Sb3 Sb 0.953 0.483 0.259 1
Sb4 Sb 0.047 0.517 0.741 1
```

No. 7
Computed, not measured: a relaxed CsScW2O8 crystal at the GGA+U level of DFT.

Values from the calculation:
Space-group type: C2/m
Formation energy from the elements: -2.59 eV per atom
Total moment: 0.0 μB per formula unit

```
data_CsScW2O8
_cell_length_a 5.999
_cell_length_b 5.686
_cell_length_c 8.814
_cell_angle_alpha 93.56
_cell_angle_beta 90.00
_cell_angle_gamma 121.84
_symmetry_space_group_name_H-M 'P 1'
_symmetry_Int_Tables_number 1
_symmetry_space_group_name_Hall 'P 1'
loop_
_atom_site_label
_atom_site_type_symbol
_atom_site_fract_x
_atom_site_fract_y
_atom_site_fract_z
_atom_site_occupancy
O1 O 0.215 0.431 0.057 1
O2 O 0.277 0.059 0.835 1
O3 O 0.723 0.941 0.165 1
O4 O 0.785 0.569 0.943 1
O5 O 0.319 0.638 0.382 1
O6 O 0.218 0.941 0.165 1
O7 O 0.782 0.059 0.835 1
O8 O 0.681 0.362 0.618 1
Sc1 Sc 0.000 0.000 0.000 1
W1 W 0.633 0.265 0.809 1
W2 W 0.367 0.735 0.191 1
Cs1 Cs 0.000 0.000 0.500 1
```

No. 8
Computed, not measured: a relaxed CsScW2O8 crystal at the GGA+U level of DFT.

Values from the calculation:
Space-group type: P-3m1
Formation energy from the elements: -2.60 eV per atom
Total moment: 0.0 μB per formula unit

```
data_CsScW2O8
_cell_length_a 5.927
_cell_length_b 5.927
_cell_length_c 8.106
_cell_angle_alpha 90.00
_cell_angle_beta 90.00
_cell_angle_gamma 120.00
_symmetry_space_group_name_H-M 'P 1'
_symmetry_Int_Tables_number 1
_symmetry_space_group_name_Hall 'P 1'
loop_
_atom_site_label
_atom_site_type_symbol
_atom_site_fract_x
_atom_site_fract_y
_atom_site_fract_z
_atom_site_occupancy
Cs1 Cs 0.000 0.000 0.000 1
O1 O 0.836 0.164 0.657 1
O2 O 0.836 0.672 0.657 1
O3 O 0.672 0.836 0.343 1
O4 O 0.164 0.328 0.343 1
O5 O 0.328 0.164 0.657 1
O6 O 0.333 0.667 0.054 1
O7 O 0.667 0.333 0.946 1
O8 O 0.164 0.836 0.343 1
W1 W 0.667 0.333 0.726 1
W2 W 0.333 0.667 0.274 1
Sc1 Sc 0.000 0.000 0.500 1
```

No. 9
Computed, not measured: a relaxed CsVSeO5 crystal at the GGA+U level of DFT.

Values from the calculation:
Space-group type: P2_1
Formation energy from the elements: -1.99 eV per atom

```
data_CsVSeO5
_cell_length_a 8.048
_cell_length_b 8.166
_cell_length_c 9.573
_cell_angle_alpha 87.49
_cell_angle_beta 90.00
_cell_angle_gamma 90.00
_symmetry_space_group_name_H-M 'P 1'
_symmetry_Int_Tables_number 1
_symmetry_space_group_name_Hall 'P 1'
loop_
_atom_site_label
_atom_site_type_symbol
_atom_site_fract_x
_atom_site_fract_y
_atom_site_fract_z
_atom_site_occupancy
O1 O 0.388 0.437 0.826 1
O2 O 0.859 0.279 0.668 1
O3 O 0.359 0.501 0.540 1
O4 O 0.018 0.967 0.940 1
O5 O 0.758 0.164 0.900 1
O6 O 0.662 0.314 0.126 1
O7 O 0.426 0.746 0.709 1
O8 O 0.830 0.929 0.688 1
O9 O 0.258 0.836 0.100 1
O10 O 0.859 0.499 0.460 1
O11 O 0.623 0.914 0.310 1
O12 O 0.359 0.721 0.332 1
O13 O 0.518 0.033 0.060 1
O14 O 0.926 0.254 0.291 1
O15 O 0.162 0.686 0.874 1
O16 O 0.330 0.071 0.312 1
O17 O 0.067 0.529 0.665 1
O18 O 0.123 0.086 0.690 1
O19 O 0.567 0.471 0.335 1
O20 O 0.888 0.563 0.174 1
V1 V 0.297 0.584 0.729 1
V2 V 0.797 0.416 0.271 1
V3 V 0.434 0.927 0.234 1
V4 V 0.934 0.073 0.766 1
Se1 Se 0.718 0.120 0.073 1
Se2 Se 0.001 0.379 0.555 1
Se3 Se 0.218 0.880 0.927 1
Se4 Se 0.501 0.621 0.445 1
Cs1 Cs 0.261 0.405 0.134 1
Cs2 Cs 0.990 0.875 0.386 1
Cs3 Cs 0.490 0.125 0.614 1
Cs4 Cs 0.761 0.595 0.866 1
```

No. 10
Computed, not measured: a relaxed Cs2W3SeO12 crystal at the GGA+U level of DFT.

Values from the calculation:
Space-group type: P6_3
Formation energy from the elements: -2.11 eV per atom
Total moment: 0.1 μB per formula unit

```
data_Cs2W3SeO12
_cell_length_a 7.360
_cell_length_b 7.360
_cell_length_c 13.162
_cell_angle_alpha 90.00
_cell_angle_beta 90.00
_cell_angle_gamma 120.00
_symmetry_space_group_name_H-M 'P 1'
_symmetry_Int_Tables_number 1
_symmetry_space_group_name_Hall 'P 1'
loop_
_atom_site_label
_atom_site_type_symbol
_atom_site_fract_x
_atom_site_fract_y
_atom_site_fract_z
_atom_site_occupancy
O1 O 0.459 0.549 0.355 1
O2 O 0.090 0.541 0.355 1
O3 O 0.191 0.797 0.525 1
O4 O 0.128 0.248 0.902 1
O5 O 0.394 0.191 0.025 1
O6 O 0.797 0.606 0.025 1
O7 O 0.752 0.880 0.902 1
O8 O 0.451 0.910 0.355 1
O9 O 0.910 0.459 0.855 1
O10 O 0.123 0.873 0.232 1
O11 O 0.809 0.203 0.025 1
O12 O 0.880 0.128 0.402 1
O13 O 0.872 0.752 0.402 1
O14 O 0.203 0.394 0.525 1
O15 O 0.120 0.872 0.902 1
O16 O 0.541 0.451 0.855 1
O17 O 0.873 0.751 0.732 1
O18 O 0.751 0.877 0.232 1
O19 O 0.877 0.127 0.732 1
O20 O 0.606 0.809 0.525 1
O21 O 0.248 0.120 0.402 1
O22 O 0.127 0.249 0.232 1
O23 O 0.249 0.123 0.732 1
O24 O 0.549 0.090 0.855 1
Se1 Se 0.000 0.000 0.177 1
Se2 Se 0.000 0.000 0.677 1
Cs1 Cs 0.667 0.333 0.595 1
Cs2 Cs 0.333 0.667 0.095 1
Cs3 Cs 0.667 0.333 0.221 1
Cs4 Cs 0.333 0.667 0.721 1
W1 W 0.662 0.849 0.395 1
W2 W 0.188 0.338 0.395 1
W3 W 0.812 0.662 0.895 1
W4 W 0.151 0.812 0.395 1
W5 W 0.849 0.188 0.895 1
W6 W 0.338 0.151 0.895 1
```